1.
148
Lattice="11.7373 0.0000 0.0000 0.0000 14.5746 0.0000 0.0000 0.0000 15.6033" Properties=species:S:1:pos:R:3 comment="Fe4Te2MoC14S2O14 | the Materials Project database | PBE+U | relaxed" energy_ev_per_atom=-6.89 space_group="Pna2_1 (33)" vol_a3_per_cell=2669 formation_enthalpy_0k_ev_per_atom=-0.541 magnetic_moment_mub_per_fu=0.00 pbc="T T T"
O 4.1075 6.1636 1.9950
O 9.2182 14.2966 12.7480
O 1.7611 13.4509 1.9950
O 6.9609 11.3485 10.1276
O 2.7265 7.1510 10.4995
O 7.4620 4.2115 10.6826
O 0.7419 5.3095 12.3588
O 3.4933 3.6071 5.4790
O 6.8265 8.7023 15.3852
O 9.9761 1.1236 9.7967
O 10.3566 5.0461 0.4761
O 0.4459 12.9582 12.9878
O 1.1297 6.3829 1.5689
O 9.3620 3.6801 13.2807
O 6.3145 8.9037 5.1861
O 2.3753 10.8944 5.4790
O 4.2753 10.3631 2.8809
O 4.4880 2.2411 8.2777
O 10.6449 4.0612 10.1276
O 3.3496 7.5653 4.9463
O 10.4524 12.4402 1.2329
O 1.0923 10.5134 2.3260
O 1.5933 3.0758 2.8809
O 2.5190 0.2780 4.9463
O 0.0051 1.8938 12.2976
O 5.8738 5.3935 4.4959
O 5.4227 5.6709 12.9878
O 4.5837 9.4216 9.0346
O 7.1535 5.1529 1.2329
O 11.2914 1.6164 5.1861
O 5.8635 9.1811 12.2976
O 8.5952 0.1362 2.6979
O 10.7794 1.4150 15.3852
O 1.2849 2.1343 9.0346
O 4.9107 5.8723 7.5836
O 9.0107 7.4235 2.6979
O 3.1421 14.4383 10.4995
O 11.7321 12.6807 4.4959
O 7.6297 8.4109 9.7967
O 9.2573 3.1234 2.9933
O 8.3876 7.0093 12.7480
O 10.9953 9.2651 4.5571
O 7.2492 12.3334 0.4761
O 4.7389 13.6702 1.5689
O 5.1267 12.5968 12.3588
O 10.6075 8.1917 9.3705
O 4.7763 3.2261 2.3260
O 2.4799 11.4512 10.7950
O 8.2439 10.9674 13.2807
O 6.6106 1.9778 4.5571
O 8.3486 10.4107 2.9933
O 1.3806 9.5284 8.2777
O 10.1439 11.4988 10.6826
O 0.9579 13.1596 7.5836
O 3.3887 4.1639 10.7950
O 6.9984 0.9044 9.3705
Te 5.8427 1.8420 12.6491
Te 0.0260 9.1293 12.6491
Te 8.4944 3.8234 6.8896
Te 3.2428 10.7512 14.6912
Te 9.1115 11.1107 6.8896
Te 11.7113 5.4453 4.8474
Te 5.8946 12.7326 4.8474
Te 2.6258 3.4639 14.6912
Fe 8.8250 12.6874 4.8350
Fe 10.9807 7.1529 14.1135
Fe 1.8963 1.4006 0.4747
Fe 0.8233 3.8351 6.6688
Fe 5.0453 11.1224 6.6688
Fe 8.7809 5.4001 4.8350
Fe 9.8410 13.1740 8.2764
Fe 5.1121 0.1344 6.3119
Fe 6.6920 3.4522 14.4705
Fe 10.9139 10.7395 14.4705
Fe 6.6251 14.4401 14.1135
Fe 7.7649 5.8867 8.2764
Fe 2.9123 1.8872 12.6367
Fe 2.9563 9.1745 12.6367
Fe 3.9724 8.6879 0.4747
Fe 0.7565 7.4217 6.3119
C 1.1454 7.2654 0.8064
C 8.5035 11.2974 3.7188
C 4.1392 9.7103 1.9324
C 8.6205 13.9301 3.5489
C 5.6942 8.7056 0.0329
C 11.5720 8.5506 5.2674
C 10.5873 12.6540 4.6520
C 4.0285 7.1594 1.4109
C 7.0543 11.9161 9.1172
C 5.8365 9.7689 5.7956
C 0.0321 2.4816 5.7956
C 9.4166 7.0926 13.2804
C 10.6487 11.7478 0.3218
C 8.2992 3.5798 13.7370
C 10.5918 7.3092 8.6080
C 4.6829 2.6585 1.3155
C 2.7519 7.9318 11.3506
C 7.5980 4.8642 9.7341
C 6.9862 13.1727 15.3226
C 3.1168 0.6445 11.3506
C 1.0886 2.8268 8.1235
C 6.9572 4.4605 0.3218
C 4.7801 10.1140 8.1235
C 11.5628 13.1562 7.8346
C 1.1499 1.9206 12.4536
C 9.3066 10.8671 13.7370
C 4.7510 1.4019 7.5209
C 4.7232 14.5527 0.8064
C 5.9008 4.8057 13.5972
C 0.1653 6.0239 13.0690
C 11.7051 12.0930 13.5972
C 1.7294 2.4230 1.9324
C 7.0186 5.3667 4.6520
C 8.1892 14.3799 13.2804
C 2.4306 3.7074 5.9353
C 3.2337 3.2772 11.5205
C 3.5480 0.1947 5.4787
C 4.7187 9.2079 12.4536
C 6.0339 1.2634 5.2674
C 3.4380 10.9947 5.9353
C 8.9854 6.6428 3.5489
C 10.0079 12.1515 9.7341
C 1.1857 9.9458 1.3155
C 0.1745 1.4183 0.0329
C 9.8971 0.1279 9.2126
C 10.5516 4.6288 9.1172
C 7.7088 7.4152 9.2126
C 10.6196 5.8854 15.3226
C 5.7033 13.3112 13.0690
C 2.3206 7.4820 5.4787
C 1.8402 14.4466 1.4109
C 9.1024 4.0101 3.7188
C 1.1176 8.6892 7.5209
C 7.0141 0.0219 8.6080
C 2.6349 10.5645 11.5205
C 6.0431 5.8690 7.8346
S 4.7099 13.0442 7.7913
S 2.7522 0.2984 14.2805
S 1.1587 5.7569 7.7913
S 10.5785 8.8176 15.5929
S 8.9851 14.2762 6.4788
S 8.6208 6.9889 6.4788
S 3.1165 7.5857 14.2805
S 7.0274 1.5304 15.5929
Mo 7.1225 12.9893 7.4046
Mo 1.2539 8.8726 15.2062
Mo 10.4834 5.7020 7.4046
Mo 4.6147 1.5853 15.2062



2.
38
Lattice="-12.4628 0.0270 4.2996 -1.0779 -6.6923 -3.0824 1.5167 -6.4271 4.4368" Properties=species:S:1:pos:R:3 comment="NdFeC6N6O5 | the Materials Project database | PBE+U | relaxed" energy_ev_per_atom=-7.00 space_group="P2_1/m (11)" vol_a3_per_cell=690 formation_enthalpy_0k_ev_per_atom=0.429 magnetic_moment_mub_per_fu=5.00 pbc="T T T"
C -6.8517 -11.5076 3.7213
C -5.8531 -5.7992 -0.0182
C -5.1723 -1.5848 1.9327
C -7.8310 -7.3916 0.8121
C -12.0571 -7.3824 2.2701
C 0.0330 -5.7100 3.3840
C -4.1930 -5.7008 4.8419
C -1.6572 -5.8083 -1.4658
C -11.0502 -11.4984 5.1697
C -10.3669 -7.2840 7.1198
C -0.9738 -1.5939 0.4843
C -6.1710 -7.2931 5.6722
N -3.8769 -5.2735 3.7983
N -1.5721 -2.5410 0.8153
N -7.0751 -7.7895 5.1205
N -9.9972 -7.7831 6.1286
N -8.1472 -7.8189 1.8557
N -10.4520 -10.5514 4.8387
N -4.9489 -5.3029 0.5335
N -4.5009 -2.5346 1.8258
N -7.5231 -10.5578 3.8283
N -2.0269 -5.3093 -0.4746
N -11.1663 -7.8123 2.8973
N -0.8577 -5.2800 2.7567
O -9.5517 -3.8383 2.6559
O -8.7272 -3.8374 5.0458
O -3.7224 -8.9273 2.7178
O -9.0345 -5.7922 4.1676
O -3.2968 -9.2550 0.6082
O -10.3644 -4.1606 3.6478
O -8.3016 -4.1650 2.9362
O -2.9896 -7.3002 1.4864
O -2.4723 -9.2541 2.9981
O -1.6597 -8.9318 2.0062
Nd -2.9263 -4.4268 1.6519
Nd -9.0978 -8.6656 4.0021
Fe 0.0000 0.0000 0.0000
Fe -6.2314 0.0135 2.1498



3.
36
Lattice="3.6745 -6.6311 0.0000 3.6745 6.6311 0.0000 0.0000 0.0000 13.6824" Properties=species:S:1:pos:R:3 comment="SmFeC6N6O4 | the Materials Project database | PBE+U | relaxed" energy_ev_per_atom=-7.22 space_group="Cmcm (63)" vol_a3_per_cell=667 formation_enthalpy_0k_ev_per_atom=0.344 magnetic_moment_mub_per_fu=1.00 pbc="T T T"
C 3.6745 4.9369 0.9446
C 3.6745 -4.9369 7.7858
C 3.6745 -4.9369 12.7378
C 1.3598 -0.6822 12.4803
C 1.3598 0.6822 1.2021
C 3.6745 4.9369 5.8966
C 1.3598 0.6822 5.6391
C 5.9891 0.6822 5.6391
C 5.9891 0.6822 1.2021
C 5.9891 -0.6822 8.0433
C 5.9891 -0.6822 12.4803
C 1.3598 -0.6822 8.0433
O 3.6745 2.4166 11.2791
O 2.6564 -2.7615 3.4206
O 3.6745 -2.4166 2.4033
O 4.6925 -2.7615 3.4206
O 2.6564 2.7615 10.2618
O 3.6745 2.4166 9.2445
O 4.6925 2.7615 10.2618
O 3.6745 -2.4166 4.4379
N 2.1434 -1.1247 11.7296
N 2.1434 1.1247 1.9528
N 3.6745 -3.9621 12.0825
N 2.1434 -1.1247 8.7940
N 3.6745 3.9621 5.2413
N 5.2055 -1.1247 8.7940
N 3.6745 3.9621 1.5999
N 5.2055 -1.1247 11.7296
N 2.1434 1.1247 4.8884
N 5.2055 1.1247 4.8884
N 5.2055 1.1247 1.9528
N 3.6745 -3.9621 8.4411
Sm 3.6745 2.2819 3.4206
Sm 3.6745 -2.2819 10.2618
Fe 0.0000 0.0000 0.0000
Fe 0.0000 0.0000 6.8412



4.
84
Lattice="8.1019 -9.6478 0.0000 8.1019 9.6478 0.0000 -3.3867 0.0000 12.1347" Properties=species:S:1:pos:R:3 comment="ZnFeC5N6O | the Materials Project database | PBE+U | relaxed" energy_ev_per_atom=-6.86 space_group="R-3 (148)" vol_a3_per_cell=1897 formation_enthalpy_0k_ev_per_atom=0.844 magnetic_moment_mub_per_fu=0.00 pbc="T T T"
N 2.5308 -3.7288 8.3550
N 10.2864 3.7288 3.7797
N 11.4195 -0.2691 2.7318
N 1.8155 3.2056 3.8604
N 3.1917 -0.7349 6.5400
N 11.3065 2.9497 7.9524
N 6.5532 1.8452 8.8398
N 0.4317 1.0613 5.2322
N 11.9491 -3.0614 2.0558
N 7.6086 4.9467 2.8428
N 7.4893 0.2560 11.9843
N 6.8394 7.3523 7.4528
N 5.3279 -0.2560 0.1504
N 1.3977 0.2691 9.4030
N 0.8681 3.0614 10.0790
N 1.5107 -2.9497 4.1824
N 9.4052 3.5641 10.0505
N 9.6255 0.7349 5.5947
N 5.5290 5.2157 8.9535
N 9.6233 4.2909 0.8314
N 5.9778 -7.3523 4.6820
N 9.2135 -1.8832 1.2965
N 3.1939 -4.2909 11.3033
N 12.3855 -1.0613 6.9026
N 3.4120 -3.5641 2.0843
N 4.7732 5.6119 5.9864
N 5.2086 -4.9467 9.2920
N 7.4283 -2.5800 7.9155
N 4.6758 2.5028 0.7494
N 3.6037 1.8832 10.8382
N 8.0440 -5.6119 6.1483
N 8.1414 -2.5028 11.3853
N 6.2640 -1.8452 3.2949
N 11.0017 -3.2056 8.2743
N 5.3889 2.5800 4.2192
N 7.2882 -5.2157 3.1812
Zn 7.9313 -6.7141 4.4917
Zn 1.6741 1.4595 11.1008
Zn 3.1479 -5.2546 9.4788
Zn 11.1431 -1.4595 1.0340
Zn 9.6693 5.2546 2.6559
Zn 4.8859 6.7141 7.6431
C 8.6616 -5.5920 9.5544
C 7.1085 1.1491 11.3423
C 1.4796 -0.3143 8.3965
C 11.9659 -0.1506 6.3131
C 4.7139 2.1526 10.6314
C 4.6971 3.0790 1.7595
C 0.8513 0.1506 5.8216
C 4.5178 -3.2296 1.9490
C 6.9057 -4.2423 2.6653
C 4.1556 5.5920 2.5804
C -0.1879 -1.9445 7.1681
C 5.7087 -1.1491 0.7924
C 6.2858 -4.5567 9.0741
C 8.1201 -3.0790 10.3752
C 13.0050 1.9445 4.9667
C 1.5704 -2.3261 5.1634
C 8.1033 -2.1526 1.5033
C 6.4711 -3.6475 0.1346
C 2.9388 3.4752 3.7181
C 5.9115 4.2423 9.4695
C 6.5314 4.5567 3.0606
C 4.7655 4.9556 5.0289
C 11.2467 2.3261 6.9713
C 8.0517 -4.9556 7.1059
C 9.8784 -3.4752 8.4166
C 2.2022 -2.8030 7.7363
C 8.2994 3.2296 10.1858
C 10.6150 2.8030 4.3984
C 6.3461 3.6475 12.0001
C 11.3376 0.3143 3.7382
O -1.8318 0.6054 11.3436
O 8.3224 7.9218 0.6184
O 14.6490 -0.6054 0.7911
O 5.2157 8.5272 10.7550
O 4.4948 -7.9218 11.5164
O 7.6015 -8.5272 1.3797
Fe 6.3071 -2.5649 1.9528
Fe 11.0466 1.2447 5.3903
Fe 7.9923 -3.8096 8.6164
Fe 6.5101 2.5649 10.1819
Fe 4.8249 3.8096 3.5184
Fe 1.7706 -1.2447 6.7444



5.
50
Lattice="1.6741 -9.7175 -3.2815 7.5538 3.6734 0.9262 3.6677 -4.4458 6.2792" Properties=species:S:1:pos:R:3 comment="Na5Fe2P2C2O14 | the Materials Project database | PBE+U | relaxed" energy_ev_per_atom=-6.58 space_group="P-1 (2)" vol_a3_per_cell=628 e_above_lowest_polymorph_ev_per_atom=0.006 formation_enthalpy_0k_ev_per_atom=-2.259 magnetic_moment_mub_per_fu=9.00 pbc="T T T"
Na 6.9626 -0.9119 1.3052
Na 2.3137 -4.7591 2.2789
Na 7.7778 -5.6272 -0.1229
Na 10.5817 -5.7307 1.6450
Na 9.4435 -2.1520 6.4554
Na 5.1177 -4.8626 4.0468
Na 5.9329 -9.5779 2.6187
Na 4.0632 -1.6486 2.7356
Na 8.8323 -8.8412 1.1883
Na 3.4520 -8.3378 -2.5315
O 4.7191 -5.1869 1.6052
O 7.7298 -10.8695 2.3778
O 8.1764 -5.3029 2.3186
O 3.8177 -3.0196 0.6898
O 9.0777 -7.4702 3.2341
O 11.1644 -9.4563 3.6938
O 5.4345 -9.1320 0.0077
O 5.9118 -3.0043 2.0453
O 1.7311 -1.0335 0.2301
O 7.4610 -1.3578 3.9161
O 8.8104 -2.3289 1.5426
O 8.6379 0.7801 2.1707
O 5.1656 0.3797 1.5461
O 6.3220 -7.2945 -0.9330
O 6.5735 -3.1953 4.8569
O 6.9142 -6.4153 4.2064
O 4.2576 -11.2699 1.7531
O 4.1295 -7.2075 4.7738
O 9.7677 -6.9239 -0.2107
O 4.0851 -8.1609 2.3813
O 10.4091 -5.6643 5.1586
O 6.9837 -7.4855 1.8785
O 8.7660 -3.2823 -0.8500
O 3.2873 -7.1525 -0.4427
O 5.9813 -4.0745 -0.2825
O 3.1278 -3.5659 4.1346
O 2.4864 -4.8255 -1.2348
O 9.6082 -3.3373 4.3665
Fe 5.0242 -7.1124 0.8581
Fe 7.8713 -3.3774 3.0657
Fe 2.3224 -2.9341 -0.6309
Fe 10.5731 -7.5557 4.5547
C 6.2231 -8.5948 -0.8994
C 6.6724 -1.8950 4.8233
C 1.0965 -1.5835 1.2282
C 11.7990 -8.9063 2.6957
P 5.1269 -3.8224 0.9929
P 7.7686 -6.6674 2.9309
P 2.0682 -6.2339 -0.6747
P 10.8272 -4.2559 4.5985



6.
50
Lattice="-7.5739 -1.7908 3.2322 -0.1771 -8.4983 0.0103 3.4331 -0.0941 8.3206" Properties=species:S:1:pos:R:3 comment="Na5Fe2P2C2O14 | the Materials Project database | PBE+U | relaxed" energy_ev_per_atom=-6.58 space_group="P-1 (2)" vol_a3_per_cell=627 e_above_lowest_polymorph_ev_per_atom=0.001 formation_enthalpy_0k_ev_per_atom=-2.264 magnetic_moment_mub_per_fu=9.00 pbc="T T T"
Na -0.6555 -3.2725 9.3055
Na -3.6624 -7.1108 2.2576
Na 2.9701 -6.5400 7.6140
Na -2.0359 -1.7325 3.4247
Na -5.7156 -6.8335 5.0026
Na -2.2820 -8.6508 8.1385
Na -7.2880 -3.8433 3.9491
Na 1.3977 -3.5498 6.5605
Na -4.1568 -2.6459 8.9299
Na -0.1611 -7.7374 2.6333
O -5.8426 -5.5639 3.1101
O -5.8134 -8.5141 6.6352
O -0.6428 -2.2873 6.9987
O -5.9090 -2.9606 5.7005
O -2.1057 -6.2426 4.0403
O 1.9489 -1.1651 7.8029
O 1.5911 -7.4227 5.8627
O -1.8720 -8.8515 1.6276
O -2.2122 -4.1407 7.5229
O 1.5247 -4.8194 8.4531
O -4.3530 -2.0093 3.1719
O -4.8253 -5.1323 6.5482
O 0.0351 -8.3740 8.3913
O -0.6124 -5.4671 1.8379
O -2.4140 -6.9747 6.4931
O 0.2359 -3.1048 3.0544
O -3.6751 -8.0960 4.5644
O 1.4955 -1.8692 4.9280
O -4.5538 -7.2785 8.5087
O -2.4459 -1.5318 9.9355
O -2.0991 -6.3919 9.3164
O -6.2668 -9.2182 3.7602
O -3.1416 -1.9305 6.7234
O 0.5074 -5.2510 5.0149
O -1.9039 -3.4086 5.0701
O -1.1763 -8.4528 4.8397
O -2.2188 -3.9914 2.2467
O -3.7055 -4.9162 9.7252
C 1.1217 -8.9961 8.7337
C -1.5866 -4.7245 1.3608
C -2.7313 -5.6588 10.2023
C -5.4396 -1.3872 2.8294
Fe 0.4368 -0.5253 6.2412
Fe -3.3617 -5.7590 7.7154
Fe -4.7547 -9.8580 5.3219
Fe -0.9562 -4.6243 3.8478
P -2.3429 -7.4406 5.0109
P -6.0317 -4.1369 6.6996
P 1.7138 -6.2464 4.8635
P -1.9750 -2.9427 6.5523



Number 1 is which compound?
Fe4Te2MoC14S2O14